No. 1
VASP calculation (GGA-PBE) on a relaxed structure of LiCuP2O6.

Lattice parameters (Å, degrees): 5.1895 14.1858 14.2805 74.65 90.00 90.00
Closest atoms and distances in Å follow each position.
Fractional coordinates of all 80 atoms:
O  0.6868  0.2326  0.7239  2 P 1.60-1.62
O  0.4259  0.1380  0.9815  1 P 1.51
O  0.6174  0.3850  0.5935  2 P 1.62-1.63
O  0.8132  0.2326  0.2239  2 P 1.60-1.62
O  0.3826  0.6150  0.4065  2 P 1.62-1.63
O  0.5784  0.6223  0.9737  1 P 1.49
O  0.0741  0.3726  0.2559  1 P 1.50
O  0.5741  0.8620  0.0185  1 P 1.51
O  0.5741  0.6274  0.2441  1 P 1.50
O  0.0792  0.6081  0.2724  1 P 1.49
O  0.9259  0.8620  0.5185  1 P 1.51
O  0.9259  0.6274  0.7441  1 P 1.50
O  0.1174  0.6150  0.9065  2 P 1.62-1.63
O  0.1481  0.9430  0.6815  1 P 1.51
O  0.9013  0.8705  0.2390  1 P 1.51
O  0.6451  0.0703  0.5663  1 P 1.51
O  0.1367  0.8189  0.1073  2 P 1.62-1.63
O  0.0784  0.3777  0.5263  1 P 1.49
O  0.7689  0.2492  0.0273  2 P 1.59-1.60
O  0.3132  0.7674  0.2761  2 P 1.60-1.62
O  0.6785  0.4210  0.4148  1 P 1.51
O  0.3633  0.8189  0.6073  2 P 1.62-1.63
O  0.8519  0.0570  0.3185  1 P 1.51
O  0.1785  0.5790  0.0852  1 P 1.51
O  0.3215  0.5790  0.5852  1 P 1.51
O  0.1451  0.9297  0.9337  1 P 1.51
O  0.2311  0.7508  0.9727  2 P 1.59-1.60
O  0.8549  0.0703  0.0663  1 P 1.51
O  0.9208  0.3919  0.7276  1 P 1.49
O  0.4013  0.1295  0.2610  1 P 1.51
O  0.2689  0.7508  0.4727  2 P 1.59-1.60
O  0.6481  0.0570  0.8185  1 P 1.51
O  0.8633  0.1811  0.8927  2 P 1.62-1.63
O  0.8215  0.4210  0.9148  1 P 1.51
O  0.7311  0.2492  0.5273  2 P 1.59-1.60
O  0.4259  0.3726  0.7559  1 P 1.50
O  0.0987  0.1295  0.7610  1 P 1.51
O  0.5792  0.3919  0.2276  1 P 1.49
O  0.0741  0.1380  0.4815  1 P 1.51
O  0.5987  0.8705  0.7390  1 P 1.51
O  0.4216  0.3777  0.0263  1 P 1.49
O  0.4208  0.6081  0.7724  1 P 1.49
O  0.3549  0.9297  0.4337  1 P 1.51
O  0.9216  0.6223  0.4737  1 P 1.49
O  0.6367  0.1811  0.3927  2 P 1.62-1.63
O  0.3519  0.9430  0.1815  1 P 1.51
O  0.1868  0.7674  0.7761  2 P 1.60-1.62
O  0.8826  0.3850  0.0935  2 P 1.62-1.63
P  0.2006  0.6370  0.4915  4 O 1.49-1.63
P  0.6691  0.1424  0.2965  4 O 1.51-1.62
P  0.2994  0.6370  0.9915  4 O 1.49-1.63
P  0.6683  0.3497  0.7095  4 O 1.49-1.62
P  0.1683  0.6503  0.7905  4 O 1.49-1.62
P  0.8309  0.1424  0.7965  4 O 1.51-1.62
P  0.7105  0.1513  0.9964  4 O 1.51-1.63
P  0.2105  0.8487  0.5036  4 O 1.51-1.63
P  0.7006  0.3630  0.0085  4 O 1.49-1.63
P  0.8317  0.3497  0.2095  4 O 1.49-1.62
P  0.1691  0.8576  0.2035  4 O 1.51-1.62
P  0.7895  0.1513  0.4964  4 O 1.51-1.63
P  0.3309  0.8576  0.7035  4 O 1.51-1.62
P  0.7994  0.3630  0.5085  4 O 1.49-1.63
P  0.2895  0.8487  0.0036  4 O 1.51-1.63
P  0.3317  0.6503  0.2905  4 O 1.49-1.62
Li  0.8114  0.9366  0.6176  4 O 1.98-2.07
Li  0.7959  0.5652  0.3668  4 O 1.98-2.09
Li  0.2041  0.4348  0.6332  4 O 1.98-2.09
Li  0.6886  0.9366  0.1176  4 O 1.98-2.07
Li  0.2959  0.4348  0.1332  4 O 1.98-2.09
Li  0.7041  0.5652  0.8668  4 O 1.98-2.09
Li  0.1886  0.0634  0.3824  4 O 1.98-2.07
Li  0.3114  0.0634  0.8824  4 O 1.98-2.07
Cu  0.2575  0.0941  0.1381  3 O 2.09-2.33
Cu  0.3548  0.3874  0.3530  3 O 2.01-2.12
Cu  0.7425  0.9059  0.8619  3 O 2.09-2.33
Cu  0.6452  0.6126  0.6470  3 O 2.01-2.12
Cu  0.1452  0.3874  0.8530  3 O 2.01-2.12
Cu  0.2425  0.0941  0.6381  3 O 2.09-2.33
Cu  0.8548  0.6126  0.1470  3 O 2.01-2.12
Cu  0.7575  0.9059  0.3619  3 O 2.09-2.33

Calculated values
* total moment: 0.000 μB per atom
* offset from the most stable computed form: 43.4 meV/atom
* E_form: -2.27 eV per atom



No. 2
VASP calculation (GGA-PBE) on a relaxed structure of Si.

Lattice parameters (Å, degrees): 12.8918 12.8188 12.9302 106.27 71.42 103.76
Closest atoms and distances in Å follow each position.
Fractional coordinates of all 100 atoms:
Si  0.5708  0.7934  0.5699  4 Si 2.36-2.44
Si  0.2176  0.7975  0.6633  4 Si 2.39-2.46
Si  0.1678  0.4827  0.9763  5 Si 2.39-2.60
Si  0.5372  0.0654  0.5166  4 Si 2.41-2.43
Si  0.6923  0.1376  0.0331  4 Si 2.32-2.35
Si  0.0876  0.0992  0.0510  4 Si 2.36-2.44
Si  0.6173  0.0515  0.8831  4 Si 2.32-2.40
Si  0.1209  0.9007  0.3607  5 Si 2.45-2.68
Si  0.3951  0.8155  0.7052  4 Si 2.38-2.46
Si  0.6398  0.1512  0.6532  4 Si 2.34-2.41
Si  0.3350  0.9544  0.8687  4 Si 2.33-2.40
Si  0.1595  0.9808  0.1189  4 Si 2.32-2.46
Si  0.5326  0.6169  0.1750  4 Si 2.37-2.51
Si  0.8837  0.3408  0.1688  4 Si 2.34-2.38
Si  0.3136  0.1365  0.3715  4 Si 2.36-2.54
Si  0.3640  0.5524  0.1025  4 Si 2.36-2.51
Si  0.9631  0.4295  0.0164  5 Si 2.36-2.57
Si  0.7604  0.0864  0.7198  4 Si 2.39-2.44
Si  0.3499  0.1192  0.8181  4 Si 2.33-2.37
Si  0.0245  0.2240  0.3282  4 Si 2.34-2.43
Si  0.2815  0.2812  0.9188  4 Si 2.33-2.41
Si  0.8654  0.1745  0.4661  4 Si 2.34-2.47
Si  0.4327  0.7088  0.3653  3 Si 2.40-2.49
Si  0.5859  0.3942  0.2824  4 Si 2.35-2.54
Si  0.6854  0.3361  0.6418  4 Si 2.33-2.36
Si  0.0406  0.0051  0.5727  5 Si 2.40-2.68
Si  0.6942  0.8256  0.0242  4 Si 2.37-2.43
Si  0.4690  0.2899  0.4181  4 Si 2.35-2.54
Si  0.7172  0.3234  0.1197  4 Si 2.32-2.38
Si  0.9685  0.2567  0.8883  4 Si 2.34-2.41
Si  0.7219  0.5585  0.3489  4 Si 2.38-2.54
Si  0.9987  0.1822  0.5707  4 Si 2.35-2.47
Si  0.1903  0.2517  0.5049  4 Si 2.37-2.41
Si  0.5380  0.6905  0.8396  4 Si 2.34-2.47
Si  0.9223  0.9368  0.2723  4 Si 2.32-2.42
Si  0.9039  0.9380  0.9911  4 Si 2.39-2.67
Si  0.0448  0.5243  0.3311  4 Si 2.37-2.40
Si  0.8606  0.7236  0.4472  3 Si 2.39-2.65
Si  0.9937  0.7520  0.9677  4 Si 2.31-2.43
Si  0.8668  0.0853  0.9359  4 Si 2.35-2.41
Si  0.5978  0.8895  0.4293  4 Si 2.37-2.47
Si  0.5905  0.8751  0.9270  4 Si 2.36-2.40
Si  0.1202  0.4613  0.7267  3 Si 2.38-2.40
Si  0.8499  0.9447  0.5704  4 Si 2.33-2.44
Si  0.2722  0.3950  0.4017  4 Si 2.39-2.43
Si  0.2705  0.7443  0.3358  4 Si 2.40-2.49
Si  0.2960  0.7176  0.1345  5 Si 2.34-2.55
Si  0.6000  0.6390  0.9777  4 Si 2.42-2.49
Si  0.8522  0.4506  0.3506  4 Si 2.34-2.43
Si  0.3875  0.5635  0.4695  4 Si 2.40-2.45
Si  0.3092  0.9478  0.3853  5 Si 2.41-2.47
Si  0.7643  0.3055  0.4493  4 Si 2.33-2.45
Si  0.7522  0.6388  0.1935  3 Si 2.35-2.44
Si  0.9054  0.7747  0.7304  4 Si 2.34-2.45
Si  0.8887  0.2549  0.7485  4 Si 2.34-2.42
Si  0.5671  0.6014  0.5035  4 Si 2.36-2.41
Si  0.0953  0.0181  0.8602  3 Si 2.33-2.44
Si  0.7861  0.9829  0.4369  4 Si 2.32-2.46
Si  0.0847  0.4103  0.4247  4 Si 2.37-2.43
Si  0.0570  0.5791  0.9039  5 Si 2.38-2.60
Si  0.8249  0.0066  0.1869  4 Si 2.36-2.40
Si  0.9534  0.9754  0.7598  4 Si 2.40-2.45
Si  0.6173  0.5879  0.6628  4 Si 2.34-2.41
Si  0.1527  0.8594  0.8612  4 Si 2.33-2.43
Si  0.0682  0.7132  0.4293  5 Si 2.40-2.66
Si  0.9376  0.1812  0.1812  4 Si 2.36-2.38
Si  0.0889  0.0567  0.3073  4 Si 2.32-2.45
Si  0.7264  0.5006  0.9026  4 Si 2.35-2.48
Si  0.5285  0.4246  0.7219  4 Si 2.34-2.41
Si  0.4274  0.8662  0.0800  4 Si 2.33-2.39
Si  0.1262  0.7976  0.1599  5 Si 2.40-2.64
Si  0.2176  0.6721  0.9666  5 Si 2.37-2.64
Si  0.5637  0.3624  0.9503  4 Si 2.38-2.44
Si  0.4110  0.1538  0.1868  4 Si 2.36-2.42
Si  0.6095  0.1886  0.3903  4 Si 2.35-2.41
Si  0.7918  0.4847  0.0465  4 Si 2.35-2.38
Si  0.3364  0.3116  0.2072  4 Si 2.34-2.40
Si  0.9334  0.7557  0.1633  4 Si 2.37-2.44
Si  0.5309  0.1751  0.8437  4 Si 2.37-2.42
Si  0.8385  0.7278  0.9051  3 Si 2.31-2.37
Si  0.2174  0.9444  0.5789  4 Si 2.34-2.61
Si  0.2669  0.2433  0.6462  4 Si 2.31-2.37
Si  0.1702  0.4608  0.1532  4 Si 2.38-2.46
Si  0.4102  0.3865  0.6069  4 Si 2.31-2.38
Si  0.8327  0.4124  0.7252  4 Si 2.36-2.42
Si  0.3514  0.0008  0.0532  4 Si 2.32-2.38
Si  0.1610  0.3153  0.8271  4 Si 2.35-2.46
Si  0.3104  0.5352  0.6568  4 Si 2.37-2.40
Si  0.3507  0.0919  0.6307  4 Si 2.34-2.43
Si  0.2011  0.2758  0.1074  4 Si 2.34-2.44
Si  0.6522  0.8841  0.2270  4 Si 2.36-2.47
Si  0.3661  0.6742  0.8021  4 Si 2.37-2.38
Si  0.4858  0.9407  0.2420  4 Si 2.33-2.44
Si  0.5069  0.4235  0.1507  4 Si 2.34-2.41
Si  0.8119  0.6405  0.6034  4 Si 2.37-2.43
Si  0.0589  0.6828  0.6100  4 Si 2.39-2.44
Si  0.0111  0.4911  0.6209  4 Si 2.40-2.42
Si  0.7254  0.8014  0.6431  3 Si 2.33-2.44
Si  0.5763  0.1151  0.2099  4 Si 2.35-2.42
Si  0.4272  0.4346  0.9153  4 Si 2.37-2.47

Calculated values
* total moment: 0.000 μB per atom
* offset from the most stable computed form: 310.3 meV/atom
* E_form: 0.31 eV per atom



The highest E_form belongs to which entry? Si



Look up the offset from the most stable computed form of the second one. 310.3 meV/atom